1.
# SiPHO5 (GGA-PBE, relaxed)
data_SiPHO5
_chemical_formula_sum 'Si4 P4 H4 O20'
_cell_length_a 7.001
_cell_length_b 6.920
_cell_length_c 6.955
_cell_angle_alpha 60.00
_cell_angle_beta 90.00
_cell_angle_gamma 90.00
_symmetry_space_group_name_H-M 'P 1'
_symmetry_Int_Tables_number 1
loop_
_symmetry_equiv_pos_as_xyz
'x,y,z'
loop_
_atom_site_label
_atom_site_type_symbol
_atom_site_fract_x
_atom_site_fract_y
_atom_site_fract_z
Si1 Si 0.750 0.749 0.000
P1 P 0.617 0.251 0.750
O1 O 0.989 0.749 0.570
O2 O 0.248 0.547 0.352
H1 H 0.974 0.784 0.232
Si2 Si 0.250 0.251 0.500
Si3 Si 0.750 0.749 0.500
O3 O 0.990 0.754 0.928
O4 O 0.745 0.050 0.351
P2 P 0.383 0.749 0.250
H2 H 0.474 0.216 0.268
O5 O 0.511 0.749 0.070
O6 O 0.252 0.547 0.852
O7 O 0.164 0.247 0.752
O8 O 0.490 0.246 0.572
H3 H 0.526 0.784 0.732
O9 O 0.245 0.950 0.149
O10 O 0.755 0.050 0.851
O11 O 0.752 0.453 0.648
P3 P 0.883 0.251 0.250
O12 O 0.836 0.753 0.248
O13 O 0.255 0.950 0.649
Si4 Si 0.250 0.251 0.000
O14 O 0.664 0.753 0.748
O15 O 0.011 0.251 0.430
P4 P 0.117 0.749 0.750
H4 H 0.026 0.216 0.768
O16 O 0.510 0.754 0.428
O17 O 0.489 0.251 0.930
O18 O 0.010 0.246 0.072
O19 O 0.748 0.453 0.148
O20 O 0.336 0.247 0.252
# Volume, Å³ per cell: 291.8
# Space group: P2_1/c, No. 14
# Formation energy, eV/atom: -2.56
# Total energy after the MP2020 corrections, eV/atom: -7.429

2.
# Ce2Si5Rh3 (GGA-PBE, relaxed)
data_Ce2Si5Rh3
_chemical_formula_sum 'Ce4 Si10 Rh6'
_cell_length_a 8.205
_cell_length_b 8.205
_cell_length_c 8.205
_cell_angle_alpha 138.15
_cell_angle_beta 105.26
_cell_angle_gamma 89.54
_symmetry_space_group_name_H-M 'P 1'
_symmetry_Int_Tables_number 1
loop_
_symmetry_equiv_pos_as_xyz
'x,y,z'
loop_
_atom_site_label
_atom_site_type_symbol
_atom_site_fract_x
_atom_site_fract_y
_atom_site_fract_z
Rh1 Rh 0.000 0.750 0.750
Si1 Si 0.225 0.975 0.750
Ce1 Ce 0.599 0.868 0.732
Ce2 Ce 0.401 0.132 0.268
Ce3 Ce 0.136 0.368 0.768
Si2 Si 0.775 0.025 0.250
Si3 Si 0.260 0.607 0.653
Ce4 Ce 0.864 0.632 0.232
Si4 Si 0.045 0.893 0.153
Si5 Si 0.740 0.393 0.347
Rh2 Rh 0.250 0.862 0.388
Si6 Si 0.225 0.475 0.250
Rh3 Rh 0.000 0.250 0.250
Si7 Si 0.955 0.107 0.847
Rh4 Rh 0.750 0.138 0.612
Si8 Si 0.775 0.525 0.750
Si9 Si 0.500 0.250 0.750
Rh5 Rh 0.474 0.362 0.112
Rh6 Rh 0.526 0.638 0.888
Si10 Si 0.500 0.750 0.250
# Volume, Å³ per cell: 340.0
# Space group: Ibam, No. 72
# Formation energy, eV/atom: -0.97

3.
# MgSc2S4 (GGA-PBE, relaxed)
data_MgSc2S4
_chemical_formula_sum 'Mg8 Sc16 S32'
_cell_length_a 12.112
_cell_length_b 7.204
_cell_length_c 12.402
_cell_angle_alpha 90.00
_cell_angle_beta 90.00
_cell_angle_gamma 90.00
_symmetry_space_group_name_H-M 'P 1'
_symmetry_Int_Tables_number 1
loop_
_symmetry_equiv_pos_as_xyz
'x,y,z'
loop_
_atom_site_label
_atom_site_type_symbol
_atom_site_fract_x
_atom_site_fract_y
_atom_site_fract_z
S1 S 0.717 0.621 0.513
Sc1 Sc 0.128 0.380 0.327
Sc2 Sc 0.392 0.881 0.187
Mg1 Mg 0.391 0.379 0.187
Sc3 Sc 0.108 0.881 0.687
Mg2 Mg 0.891 0.621 0.187
S2 S 0.770 0.872 0.279
S3 S 0.516 0.128 0.875
Sc4 Sc 0.133 0.628 0.989
S4 S 0.038 0.370 0.132
S5 S 0.984 0.128 0.375
S6 S 0.784 0.120 0.010
S7 S 0.538 0.630 0.132
S8 S 0.783 0.621 0.013
Sc5 Sc 0.608 0.119 0.687
S9 S 0.217 0.379 0.513
S10 S 0.037 0.877 0.132
S11 S 0.730 0.872 0.779
S12 S 0.216 0.880 0.510
Sc6 Sc 0.632 0.871 0.990
S13 S 0.716 0.120 0.510
S14 S 0.462 0.370 0.632
S15 S 0.484 0.872 0.375
Sc7 Sc 0.367 0.628 0.489
S16 S 0.768 0.370 0.278
S17 S 0.962 0.630 0.632
Sc8 Sc 0.132 0.129 0.990
Mg3 Mg 0.109 0.379 0.687
S18 S 0.270 0.128 0.279
Mg4 Mg 0.374 0.878 0.823
S19 S 0.268 0.630 0.278
Mg5 Mg 0.626 0.122 0.323
S20 S 0.232 0.630 0.778
Mg6 Mg 0.126 0.878 0.323
S21 S 0.537 0.123 0.132
S22 S 0.482 0.379 0.374
Mg7 Mg 0.609 0.621 0.687
Sc9 Sc 0.867 0.372 0.489
S23 S 0.284 0.880 0.010
S24 S 0.018 0.379 0.874
S25 S 0.230 0.128 0.779
S26 S 0.283 0.379 0.013
S27 S 0.518 0.621 0.874
Sc10 Sc 0.872 0.620 0.827
S28 S 0.463 0.877 0.632
Mg8 Mg 0.874 0.122 0.823
S29 S 0.963 0.123 0.632
S30 S 0.016 0.872 0.875
S31 S 0.732 0.370 0.778
Sc11 Sc 0.868 0.871 0.490
Sc12 Sc 0.628 0.620 0.327
Sc13 Sc 0.633 0.372 0.989
Sc14 Sc 0.368 0.129 0.490
S32 S 0.982 0.621 0.374
Sc15 Sc 0.372 0.380 0.827
Sc16 Sc 0.892 0.119 0.187
# Volume, Å³ per cell: 1082.2
# Space group: Pca2_1, No. 29
# Formation energy, eV/atom: -2.00
# ΔE to the lowest computed polymorph, meV per atom: 65
# Total energy after the MP2020 corrections, eV/atom: -6.406

4.
# LaMg2Ni (GGA-PBE, relaxed)
data_LaMg2Ni
_chemical_formula_sum 'La2 Mg4 Ni2'
_cell_length_a 5.510
_cell_length_b 5.510
_cell_length_c 8.394
_cell_angle_alpha 90.00
_cell_angle_beta 90.00
_cell_angle_gamma 135.33
_symmetry_space_group_name_H-M 'P 1'
_symmetry_Int_Tables_number 1
loop_
_symmetry_equiv_pos_as_xyz
'x,y,z'
loop_
_atom_site_label
_atom_site_type_symbol
_atom_site_fract_x
_atom_site_fract_y
_atom_site_fract_z
Ni1 Ni 0.274 0.726 0.750
Ni2 Ni 0.726 0.274 0.250
Mg1 Mg 0.845 0.155 0.555
La1 La 0.560 0.440 0.750
Mg2 Mg 0.155 0.845 0.055
La2 La 0.440 0.560 0.250
Mg3 Mg 0.845 0.155 0.945
Mg4 Mg 0.155 0.845 0.445
# Volume, Å³ per cell: 179.2
# Space group: Cmcm, No. 63
# Formation energy, eV/atom: -0.25

5.
# Cr3Ga2N4 (GGA-PBE, relaxed)
data_Cr3Ga2N4
_chemical_formula_sum 'Cr6 Ga4 N8'
_cell_length_a 6.970
_cell_length_b 6.681
_cell_length_c 5.127
_cell_angle_alpha 90.00
_cell_angle_beta 76.09
_cell_angle_gamma 118.64
_symmetry_space_group_name_H-M 'P 1'
_symmetry_Int_Tables_number 1
loop_
_symmetry_equiv_pos_as_xyz
'x,y,z'
loop_
_atom_site_label
_atom_site_type_symbol
_atom_site_fract_x
_atom_site_fract_y
_atom_site_fract_z
Cr1 Cr 0.849 0.035 0.127
Cr2 Cr 0.849 0.813 0.627
N1 N 0.815 0.756 0.001
Cr3 Cr 0.000 0.445 0.250
N2 N 0.185 0.244 0.999
Cr4 Cr 0.000 0.555 0.750
N3 N 0.815 0.058 0.501
Ga1 Ga 0.602 0.443 0.232
N4 N 0.807 0.520 0.501
Cr5 Cr 0.151 0.187 0.373
Ga2 Ga 0.602 0.159 0.732
N5 N 0.193 0.480 0.499
Ga3 Ga 0.398 0.557 0.768
Cr6 Cr 0.151 0.965 0.873
Ga4 Ga 0.398 0.841 0.268
N6 N 0.193 0.713 0.999
N7 N 0.807 0.287 0.001
N8 N 0.185 0.942 0.499
# Volume, Å³ per cell: 201.5
# Space group: C2/c, No. 15
# Formation energy, eV/atom: -0.27
# ΔE to the lowest computed polymorph, meV per atom: 0
# Total energy after the MP2020 corrections, eV/atom: -7.864

6.
# KMoRu2 (GGA-PBE, relaxed)
data_KMoRu2
_chemical_formula_sum 'K1 Mo1 Ru2'
_cell_length_a 4.544
_cell_length_b 4.544
_cell_length_c 4.544
_cell_angle_alpha 60.00
_cell_angle_beta 60.00
_cell_angle_gamma 60.00
_symmetry_space_group_name_H-M 'P 1'
_symmetry_Int_Tables_number 1
loop_
_symmetry_equiv_pos_as_xyz
'x,y,z'
loop_
_atom_site_label
_atom_site_type_symbol
_atom_site_fract_x
_atom_site_fract_y
_atom_site_fract_z
Mo1 Mo 0.250 0.250 0.250
Ru1 Ru 0.000 0.000 0.000
K1 K 0.500 0.500 0.500
Ru2 Ru 0.750 0.750 0.750
# Volume, Å³ per cell: 66.3
# Space group: F-43m, No. 216
# Formation energy, eV/atom: 1.42

7.
# Li2Y5In9 (GGA-PBE, relaxed)
data_Li2Y5In9
_chemical_formula_sum 'Li8 Y20 In36'
_cell_length_a 10.313
_cell_length_b 10.313
_cell_length_c 15.422
_cell_angle_alpha 90.00
_cell_angle_beta 90.00
_cell_angle_gamma 90.00
_symmetry_space_group_name_H-M 'P 1'
_symmetry_Int_Tables_number 1
loop_
_symmetry_equiv_pos_as_xyz
'x,y,z'
loop_
_atom_site_label
_atom_site_type_symbol
_atom_site_fract_x
_atom_site_fract_y
_atom_site_fract_z
Li1 Li 0.500 0.500 0.900
Li2 Li 0.000 0.000 0.409
In1 In 0.250 0.000 0.025
Y1 Y 0.217 0.717 0.128
In2 In 0.500 0.708 0.232
In3 In 0.772 0.500 0.473
Li3 Li 0.000 0.000 0.100
Y2 Y 0.783 0.283 0.128
Y3 Y 0.500 0.000 0.694
Y4 Y 0.000 0.500 0.306
In4 In 0.792 0.000 0.232
Y5 Y 0.000 0.500 0.832
Y6 Y 0.720 0.220 0.373
Li4 Li 0.000 0.000 0.900
In5 In 0.500 0.300 0.731
Y7 Y 0.717 0.217 0.872
In6 In 0.000 0.500 0.619
In7 In 0.200 0.000 0.731
In8 In 0.000 0.728 0.473
Y8 Y 0.283 0.783 0.872
Y9 Y 0.783 0.717 0.128
Y10 Y 0.717 0.783 0.872
In9 In 0.000 0.208 0.768
In10 In 0.700 0.500 0.269
Y11 Y 0.720 0.780 0.373
Y12 Y 0.220 0.720 0.627
In11 In 0.708 0.500 0.768
In12 In 0.728 0.000 0.527
In13 In 0.208 0.000 0.232
In14 In 0.500 0.772 0.527
In15 In 0.500 0.000 0.906
In16 In 0.292 0.500 0.768
In17 In 0.800 0.000 0.731
In18 In 0.000 0.500 0.094
Li5 Li 0.500 0.500 0.100
In19 In 0.500 0.750 0.025
In20 In 0.500 0.250 0.025
In21 In 0.750 0.000 0.025
In22 In 0.272 0.000 0.527
In23 In 0.000 0.250 0.975
In24 In 0.500 0.000 0.381
Li6 Li 0.500 0.500 0.591
In25 In 0.500 0.292 0.232
In26 In 0.000 0.800 0.269
Y13 Y 0.280 0.220 0.373
In27 In 0.250 0.500 0.975
In28 In 0.000 0.272 0.473
Y14 Y 0.217 0.283 0.128
In29 In 0.000 0.750 0.975
Y15 Y 0.780 0.720 0.627
Li7 Li 0.000 0.000 0.591
In30 In 0.500 0.700 0.731
Y16 Y 0.280 0.780 0.373
In31 In 0.750 0.500 0.975
In32 In 0.000 0.200 0.269
In33 In 0.500 0.228 0.527
Y17 Y 0.500 0.000 0.168
In34 In 0.000 0.792 0.768
In35 In 0.300 0.500 0.269
Li8 Li 0.500 0.500 0.409
Y18 Y 0.220 0.280 0.627
In36 In 0.228 0.500 0.473
Y19 Y 0.780 0.280 0.627
Y20 Y 0.283 0.217 0.872
# Volume, Å³ per cell: 1640.1
# Space group: P4/nmm, No. 129
# Formation energy, eV/atom: -0.46

8.
# Ag2Se (GGA-PBE, relaxed)
data_Ag2Se
_chemical_formula_sum 'Ag8 Se4'
_cell_length_a 4.582
_cell_length_b 7.348
_cell_length_c 7.938
_cell_angle_alpha 90.00
_cell_angle_beta 90.00
_cell_angle_gamma 90.00
_symmetry_space_group_name_H-M 'P 1'
_symmetry_Int_Tables_number 1
loop_
_symmetry_equiv_pos_as_xyz
'x,y,z'
loop_
_atom_site_label
_atom_site_type_symbol
_atom_site_fract_x
_atom_site_fract_y
_atom_site_fract_z
Se1 Se 0.480 0.294 0.749
Ag1 Ag 0.500 0.615 0.500
Ag2 Ag 0.000 0.391 0.000
Ag3 Ag 0.994 0.103 0.756
Se2 Se 0.980 0.706 0.251
Se3 Se 0.520 0.294 0.251
Ag4 Ag 0.500 0.609 0.000
Se4 Se 0.020 0.706 0.749
Ag5 Ag 0.000 0.385 0.500
Ag6 Ag 0.494 0.897 0.244
Ag7 Ag 0.506 0.897 0.756
Ag8 Ag 0.006 0.103 0.244
# Volume, Å³ per cell: 267.3
# Space group: P222_1, No. 17
# Formation energy, eV/atom: -0.10
# Total energy after the MP2020 corrections, eV/atom: -3.152

9.
# Rb4Cu5Cl9 (GGA-PBE, relaxed)
data_Rb4Cu5Cl9
_chemical_formula_sum 'Rb16 Cu20 Cl36'
_cell_length_a 8.656
_cell_length_b 14.796
_cell_length_c 15.831
_cell_angle_alpha 73.79
_cell_angle_beta 90.00
_cell_angle_gamma 90.00
_symmetry_space_group_name_H-M 'P 1'
_symmetry_Int_Tables_number 1
loop_
_symmetry_equiv_pos_as_xyz
'x,y,z'
loop_
_atom_site_label
_atom_site_type_symbol
_atom_site_fract_x
_atom_site_fract_y
_atom_site_fract_z
Cu1 Cu 0.150 0.992 0.558
Cu2 Cu 0.246 0.517 0.787
Rb1 Rb 0.333 0.997 0.001
Rb2 Rb 0.484 0.472 0.478
Cu3 Cu 0.625 0.166 0.048
Cl1 Cl 0.820 0.098 0.304
Cl2 Cl 0.623 0.255 0.462
Cl3 Cl 0.996 0.868 0.996
Rb3 Rb 0.984 0.263 0.899
Cu4 Cu 0.104 0.171 0.665
Cu5 Cu 0.754 0.517 0.287
Cl4 Cl 0.971 0.648 0.209
Cu6 Cu 0.608 0.559 0.714
Cu7 Cu 0.896 0.171 0.165
Cl5 Cl 0.205 0.892 0.693
Cl6 Cl 0.737 0.439 0.811
Cu8 Cu 0.375 0.166 0.548
Cu9 Cu 0.392 0.559 0.214
Cl7 Cl 0.506 0.867 0.377
Cl8 Cl 0.550 0.639 0.291
Cl9 Cl 0.236 0.291 0.568
Cl10 Cl 0.472 0.085 0.168
Cu10 Cu 0.744 0.219 0.589
Rb4 Rb 0.979 0.480 0.612
Rb5 Rb 0.667 0.997 0.501
Cl11 Cl 0.301 0.084 0.450
Cl12 Cl 0.155 0.261 0.200
Cl13 Cl 0.126 0.479 0.915
Cu11 Cu 0.850 0.992 0.058
Cl14 Cl 0.004 0.868 0.496
Cl15 Cl 0.205 0.647 0.423
Rb6 Rb 0.021 0.480 0.112
Cl16 Cl 0.450 0.639 0.791
Cu12 Cu 0.902 0.775 0.623
Cl17 Cl 0.290 0.834 0.188
Cl18 Cl 0.874 0.479 0.415
Cl19 Cl 0.029 0.648 0.709
Cl20 Cl 0.377 0.255 0.962
Rb7 Rb 0.016 0.263 0.399
Cl21 Cl 0.795 0.892 0.193
Rb8 Rb 0.159 0.984 0.295
Cl22 Cl 0.658 0.469 0.178
Cu13 Cu 0.629 0.748 0.829
Rb9 Rb 0.834 0.732 0.381
Cl23 Cl 0.948 0.092 0.586
Cl24 Cl 0.263 0.439 0.311
Cl25 Cl 0.325 0.625 0.072
Cu14 Cu 0.886 0.560 0.831
Rb10 Rb 0.657 0.744 0.082
Cl26 Cl 0.710 0.834 0.688
Cu15 Cu 0.371 0.748 0.329
Cl27 Cl 0.699 0.084 0.950
Rb11 Rb 0.521 0.256 0.265
Rb12 Rb 0.166 0.732 0.881
Cl28 Cl 0.845 0.261 0.700
Cl29 Cl 0.180 0.098 0.804
Cl30 Cl 0.675 0.625 0.572
Rb13 Rb 0.343 0.744 0.582
Cl31 Cl 0.795 0.647 0.923
Cl32 Cl 0.052 0.092 0.086
Cu16 Cu 0.114 0.560 0.331
Cl33 Cl 0.494 0.867 0.877
Cl34 Cl 0.528 0.085 0.668
Rb14 Rb 0.479 0.256 0.765
Rb15 Rb 0.516 0.472 0.978
Cl35 Cl 0.342 0.469 0.678
Cl36 Cl 0.764 0.291 0.068
Cu17 Cu 0.372 0.973 0.758
Cu18 Cu 0.098 0.775 0.123
Rb16 Rb 0.841 0.984 0.795
Cu19 Cu 0.628 0.973 0.258
Cu20 Cu 0.256 0.219 0.089
# Volume, Å³ per cell: 1946.8
# Space group: Pc, No. 7
# Formation energy, eV/atom: -1.40
# ΔE to the lowest computed polymorph, meV per atom: 17
# Total energy after the MP2020 corrections, eV/atom: -3.683

10.
# Ba3Ce2C5O15F2 (GGA-PBE, relaxed)
data_Ba3Ce2C5O15F2
_chemical_formula_sum 'Ba6 Ce4 C10 O30 F4'
_cell_length_a 5.207
_cell_length_b 11.169
_cell_length_c 14.345
_cell_angle_alpha 97.40
_cell_angle_beta 90.00
_cell_angle_gamma 103.48
_symmetry_space_group_name_H-M 'P 1'
_symmetry_Int_Tables_number 1
loop_
_symmetry_equiv_pos_as_xyz
'x,y,z'
loop_
_atom_site_label
_atom_site_type_symbol
_atom_site_fract_x
_atom_site_fract_y
_atom_site_fract_z
O1 O 0.009 0.446 0.246
O2 O 0.599 0.631 0.061
C1 C 0.340 0.681 0.546
O3 O 0.606 0.213 0.195
C2 C 0.657 0.314 0.407
F1 F 0.125 0.249 0.088
Ba1 Ba 0.177 0.355 0.555
F2 F 0.626 0.251 0.557
O4 O 0.152 0.735 0.572
C3 C 0.254 0.508 0.250
O5 O 0.700 0.400 0.740
Ce1 Ce 0.893 0.787 0.696
C4 C 0.960 0.920 0.299
O6 O 0.033 0.631 0.061
O7 O 0.145 0.859 0.286
C5 C 0.548 0.096 0.164
Ba2 Ba 0.699 0.398 0.088
Ba3 Ba 0.827 0.655 0.391
O8 O 0.303 0.037 0.149
O9 O 0.098 0.196 0.876
Ba4 Ba 0.511 0.022 0.469
Ce2 Ce 0.113 0.225 0.255
Ce3 Ce 0.406 0.811 0.157
F3 F 0.425 0.849 0.992
O10 O 0.292 0.156 0.676
C6 C 0.047 0.094 0.667
C7 C 0.458 0.916 0.807
Ce4 Ce 0.603 0.206 0.798
C8 C 0.157 0.314 0.905
O11 O 0.577 0.580 0.735
C9 C 0.759 0.517 0.737
O12 O 0.273 0.976 0.822
O13 O 0.584 0.735 0.572
C10 C 0.846 0.691 0.070
O14 O 0.733 0.037 0.149
O15 O 0.019 0.037 0.325
O16 O 0.703 0.976 0.822
O17 O 0.410 0.252 0.389
O18 O 0.714 0.859 0.286
Ba5 Ba 0.304 0.609 0.891
O19 O 0.968 0.372 0.917
O20 O 0.289 0.578 0.491
Ba6 Ba 0.002 0.005 0.987
O21 O 0.314 0.628 0.260
O22 O 0.003 0.580 0.735
O23 O 0.988 0.977 0.642
F4 F 0.947 0.894 0.462
O24 O 0.842 0.252 0.389
O25 O 0.404 0.372 0.917
O26 O 0.905 0.811 0.091
O27 O 0.713 0.427 0.442
O28 O 0.400 0.800 0.774
O29 O 0.864 0.156 0.676
O30 O 0.437 0.446 0.246
# Volume, Å³ per cell: 804.1
# Space group: Cm, No. 8
# Formation energy, eV/atom: -2.73
# ΔE to the lowest computed polymorph, meV per atom: 111
# Total energy after the MP2020 corrections, eV/atom: -7.985

11.
# ZrAlW (GGA-PBE, relaxed)
data_ZrAlW
_chemical_formula_sum 'Zr1 Al1 W1'
_cell_length_a 4.500
_cell_length_b 4.500
_cell_length_c 4.500
_cell_angle_alpha 60.00
_cell_angle_beta 60.00
_cell_angle_gamma 60.00
_symmetry_space_group_name_H-M 'P 1'
_symmetry_Int_Tables_number 1
loop_
_symmetry_equiv_pos_as_xyz
'x,y,z'
loop_
_atom_site_label
_atom_site_type_symbol
_atom_site_fract_x
_atom_site_fract_y
_atom_site_fract_z
W1 W 0.750 0.750 0.750
Zr1 Zr 0.000 0.000 0.000
Al1 Al 0.500 0.500 0.500
# Volume, Å³ per cell: 64.5
# Space group: F-43m, No. 216
# Formation energy, eV/atom: 0.72

Total DFT energy (no corrections): -7.000; -7.081; -6.118; -3.729; -7.704; -6.208; -4.266; -2.995; -3.376; -7.569; -7.698 (eV/atom)